Hg3ClO | PBE | optimized geometry

Structure (POSCAR):
```
Hg3ClO
1.0
-10.766 1.924 -0.163
-7.829 -3.278 6.900
-3.533 12.995 11.039
Hg O Cl
36 12 12
Direct
0.815 0.510 0.657
0.185 0.490 0.343
0.714 0.750 0.889
0.720 0.950 0.527
0.490 0.185 0.843
0.289 0.053 0.321
0.447 0.361 0.535
0.096 0.042 0.702
0.465 0.207 0.366
0.125 0.844 0.510
0.535 0.793 0.634
0.947 0.711 0.179
0.042 0.096 0.202
0.372 0.608 0.679
0.207 0.465 0.866
0.904 0.958 0.298
0.608 0.372 0.179
0.553 0.639 0.465
0.950 0.720 0.027
0.711 0.947 0.679
0.793 0.535 0.134
0.639 0.553 0.965
0.750 0.714 0.389
0.250 0.286 0.611
0.156 0.875 0.990
0.958 0.904 0.798
0.050 0.280 0.973
0.875 0.156 0.490
0.628 0.392 0.321
0.053 0.289 0.821
0.286 0.250 0.111
0.844 0.125 0.010
0.280 0.050 0.473
0.392 0.628 0.821
0.361 0.447 0.035
0.510 0.815 0.157
0.954 0.706 0.304
0.357 0.630 0.553
0.370 0.643 0.947
0.706 0.954 0.804
0.294 0.046 0.196
0.986 0.693 0.903
0.630 0.357 0.053
0.014 0.307 0.097
0.046 0.294 0.696
0.643 0.370 0.447
0.307 0.014 0.597
0.693 0.986 0.403
0.040 0.661 0.485
0.730 0.352 0.845
0.382 0.943 0.782
0.648 0.270 0.655
0.339 0.960 0.015
0.270 0.648 0.155
0.057 0.618 0.718
0.352 0.730 0.345
0.661 0.040 0.985
0.943 0.382 0.282
0.960 0.339 0.515
0.618 0.057 0.218
```

Final energy = -1.8814 eV per atom
Symmetry = C2/c (15)
Formation enthalpy at 0 K = -0.477 eV/atom